No. 1
# Ti4NbBi7O21

A geometry-optimized Ti4NbBi7O21 structure (GGA-PBE, the Materials Project database).

Results
* VASP energy: -240.01 eV/f.u.
* total moment: 0.0 μB/f.u.

Unit cell a=29.7712 b=29.7712 c=5.4555 alpha=95.09 beta=95.09 gamma=10.63
Closest atoms and distances in Å follow each position.
Fractional coordinates of all 66 atoms:
Ti 0.0001 0.9999 0.0000  4 O 1.85-2.01
Ti 0.0778 0.0684 0.0733  3 O 1.78-1.96
Ti 0.2972 0.2780 0.7859  3 O 1.80-1.93
Ti 0.4315 0.4222 0.4273  3 O 1.78-1.96
Ti 0.5000 0.5000 0.5000  4 O 1.85-2.01
Ti 0.5778 0.5685 0.5727  3 O 1.78-1.96
Ti 0.7220 0.7028 0.2141  3 O 1.80-1.93
Ti 0.9316 0.9222 0.9267  3 O 1.78-1.96
Nb 0.2253 0.1998 0.7173  4 O 1.88-2.07
Nb 0.8002 0.7747 0.2827  4 O 1.88-2.07
Bi 0.0864 0.1548 0.6454  5 O 2.24-2.51
Bi 0.1225 0.2057 0.1849  4 O 2.23-2.46
Bi 0.2124 0.2880 0.2458  4 O 2.28-2.54
Bi 0.2979 0.3737 0.3646  5 O 2.23-2.48
Bi 0.3427 0.4162 0.9045  4 O 2.23-2.46
Bi 0.4163 0.5079 0.9612  6 O 2.29-2.52
Bi 0.4921 0.5837 0.0388  6 O 2.29-2.52
Bi 0.5838 0.6573 0.0955  4 O 2.23-2.46
Bi 0.6263 0.7021 0.6354  5 O 2.23-2.48
Bi 0.7120 0.7876 0.7542  4 O 2.28-2.54
Bi 0.7943 0.8775 0.8151  4 O 2.23-2.46
Bi 0.8452 0.9136 0.3546  5 O 2.24-2.51
Bi 0.9164 0.0078 0.4628  6 O 2.29-2.53
Bi 0.9922 0.0836 0.5372  6 O 2.29-2.53
O 0.0156 0.9182 0.8930  1 Ti 2.01
O 0.0296 0.5261 0.5632  1 Ti 1.93, 1 Nb 2.13
O 0.0440 0.3819 0.0195  1 Nb 1.93, 1 Ti 2.07
O 0.0818 0.9844 0.1070  1 Ti 2.01
O 0.0853 0.6290 0.1131  4 Bi 2.23-2.46
O 0.0856 0.6306 0.6153  4 Bi 2.23-2.45
O 0.1125 0.0931 0.0432  1 Ti 1.78
O 0.1232 0.4509 0.0887  1 Ti 1.91, 1 Nb 2.07
O 0.1866 0.6875 0.2119  2 Ti 1.96-2.11
O 0.2037 0.1591 0.6164  1 Nb 1.88
O 0.2449 0.6142 0.7237  2 Ti 1.92-2.05
O 0.2821 0.7069 0.2391  1 Ti 1.85
O 0.2931 0.7179 0.7609  1 Ti 1.85
O 0.3052 0.1945 0.8294  1 Nb 2.25, 2 Bi 2.28-2.33, 1 Ti 2.29
O 0.3125 0.8134 0.7881  2 Ti 1.96-2.11
O 0.3425 0.2924 0.7485  1 Ti 1.80
O 0.3694 0.9144 0.3847  4 Bi 2.23-2.45
O 0.3710 0.9147 0.8869  4 Bi 2.23-2.46
O 0.3858 0.7551 0.2763  2 Ti 1.92-2.05
O 0.4055 0.3888 0.3385  1 Ti 1.78
O 0.4739 0.9704 0.4368  1 Ti 1.93, 1 Nb 2.13
O 0.5160 0.4179 0.5411  1 Ti 2.01
O 0.5269 0.0288 0.4931  1 Nb 1.97, 1 Ti 2.11
O 0.5491 0.8768 0.9113  1 Ti 1.91, 1 Nb 2.07
O 0.5821 0.4840 0.4589  1 Ti 2.01
O 0.5853 0.1308 0.6034  4 Bi 2.23-2.46
O 0.5857 0.1286 0.1030  4 Bi 2.24-2.48
O 0.6112 0.5945 0.6615  1 Ti 1.78
O 0.6181 0.9560 0.9805  1 Nb 1.93, 1 Ti 2.07
O 0.6867 0.1874 0.1626  2 Ti 1.96-2.10
O 0.7076 0.6575 0.2515  1 Ti 1.80
O 0.7448 0.1142 0.6360  2 Ti 1.92-2.06
O 0.7821 0.2069 0.2501  1 Ti 1.85
O 0.7931 0.2179 0.7499  1 Ti 1.85
O 0.8055 0.6948 0.1706  1 Nb 2.25, 2 Bi 2.28-2.33, 1 Ti 2.29
O 0.8126 0.3133 0.8374  2 Ti 1.96-2.10
O 0.8409 0.7963 0.3836  1 Nb 1.88
O 0.8692 0.4147 0.3966  4 Bi 2.23-2.46
O 0.8714 0.4143 0.8970  4 Bi 2.24-2.48
O 0.8858 0.2552 0.3640  2 Ti 1.92-2.06
O 0.9069 0.8875 0.9568  1 Ti 1.78
O 0.9712 0.4731 0.5069  1 Nb 1.97, 1 Ti 2.11

---

No. 2
# Bi4P3O12

A geometry-optimized Bi4P3O12 structure (GGA-PBE, the Materials Project database).

Results
* VASP energy: -122.04 eV/f.u.
* total moment: 0.0 μB/f.u.

Unit cell a=8.9971 b=8.9971 c=8.9971 alpha=109.47 beta=109.47 gamma=109.47
Closest atoms and distances in Å follow each position.
Fractional coordinates of all 38 atoms:
Bi 0.0000 0.1534 0.5000  6 O 2.42-2.63
Bi 0.0000 0.6534 0.5000  6 O 2.42-2.63
Bi 0.1534 0.5000 0.0000  6 O 2.42-2.63
Bi 0.3466 0.3466 0.3466  6 O 2.42-2.63
Bi 0.5000 0.0000 0.1534  6 O 2.42-2.63
Bi 0.5000 0.0000 0.6534  6 O 2.42-2.63
Bi 0.6534 0.5000 0.0000  6 O 2.42-2.63
Bi 0.8466 0.8466 0.8466  6 O 2.42-2.63
P 0.1250 0.8750 0.2500  4 O 1.56
P 0.2500 0.1250 0.8750  4 O 1.56
P 0.3750 0.6250 0.7500  4 O 1.56
P 0.6250 0.7500 0.3750  4 O 1.56
P 0.7500 0.3750 0.6250  4 O 1.56
P 0.8750 0.2500 0.1250  4 O 1.56
O 0.0832 0.3739 0.2076  1 P 1.56
O 0.1245 0.9168 0.7907  1 P 1.56
O 0.1261 0.2093 0.8338  1 P 1.56
O 0.1662 0.7924 0.3755  1 P 1.56
O 0.2076 0.0832 0.3739  1 P 1.56
O 0.2093 0.8338 0.1261  1 P 1.56
O 0.2907 0.4168 0.6245  1 P 1.56
O 0.2924 0.6662 0.8755  1 P 1.56
O 0.3338 0.7093 0.6261  1 P 1.56
O 0.3739 0.2076 0.0832  1 P 1.56
O 0.3755 0.1662 0.7924  1 P 1.56
O 0.4168 0.6245 0.2907  1 P 1.56
O 0.5832 0.7076 0.8739  1 P 1.56
O 0.6245 0.2907 0.4168  1 P 1.56
O 0.6261 0.3338 0.7093  1 P 1.56
O 0.6662 0.8755 0.2924  1 P 1.56
O 0.7076 0.8739 0.5832  1 P 1.56
O 0.7093 0.6261 0.3338  1 P 1.56
O 0.7907 0.1245 0.9168  1 P 1.56
O 0.7924 0.3755 0.1662  1 P 1.56
O 0.8338 0.1261 0.2093  1 P 1.56
O 0.8739 0.5832 0.7076  1 P 1.56
O 0.8755 0.2924 0.6662  1 P 1.56
O 0.9168 0.7907 0.1245  1 P 1.56